A geometry-optimized SnPtN4Cl6 structure, computed with PBE. Values from VASP.

Results
space group: Cmce, No. 64
energy relative to the elements: 4.80 eV per formula unit

Quantum ESPRESSO input file:
```
&SYSTEM
  ibrav = 0, nat = 24, ntyp = 4
/
ATOMIC_SPECIES
N 14.01 N.upf
Cl 35.45 Cl.upf
Sn 118.71 Sn.upf
Pt 195.08 Pt.upf
CELL_PARAMETERS angstrom
-3.466 4.710 4.847
-5.755 -4.624 -1.785
3.028 -7.369 9.324
ATOMIC_POSITIONS crystal
N 0.603 0.647 0.622
N 0.103 0.147 0.878
N 0.897 0.853 0.122
Cl 0.677 0.869 0.607
Cl 0.823 0.631 0.107
N 0.853 0.897 0.878
Cl 0.869 0.677 0.393
Cl 0.323 0.131 0.393
N 0.397 0.353 0.378
Sn 0.500 0.500 0.000
Cl 0.631 0.823 0.893
N 0.147 0.103 0.122
N 0.647 0.603 0.378
Cl 0.177 0.369 0.893
Cl 0.369 0.177 0.107
Cl 0.174 0.826 0.614
Cl 0.131 0.323 0.607
Pt 0.000 0.000 0.000
Pt 0.500 0.500 0.500
Cl 0.826 0.174 0.386
N 0.353 0.397 0.622
Sn 0.000 0.000 0.500
Cl 0.326 0.674 0.114
Cl 0.674 0.326 0.886
```